# V3OF11

A relaxed V3OF11 crystal (r²SCAN, the Materials Project database).

Unit cell a=5.365 b=5.065 c=14.110 alpha=90.00 beta=99.63 gamma=90.00
Atoms (fractional coordinates):
V: 0.086 0.000 0.166
V: 0.282 0.559 0.508
V: 0.414 0.000 0.833
V: 0.586 0.500 0.167
V: 0.718 0.059 0.492
V: 0.914 0.500 0.834
O: 0.466 0.242 0.466
O: 0.534 0.742 0.534
F: 0.046 0.785 0.535
F: 0.056 0.887 0.048
F: 0.102 0.192 0.804
F: 0.119 0.099 0.286
F: 0.202 0.609 0.384
F: 0.227 0.692 0.863
F: 0.270 0.307 0.137
F: 0.285 0.374 0.612
F: 0.385 0.886 0.716
F: 0.402 0.806 0.197
F: 0.449 0.100 0.953
F: 0.551 0.600 0.047
F: 0.598 0.306 0.803
F: 0.615 0.386 0.284
F: 0.715 0.874 0.388
F: 0.730 0.807 0.863
F: 0.773 0.192 0.137
F: 0.798 0.109 0.616
F: 0.881 0.599 0.714
F: 0.898 0.692 0.196
F: 0.944 0.387 0.952
F: 0.954 0.285 0.465

## Properties
Formation energy from the elements   -284.1 kJ per mole of atoms
V   378.0 Å³/cell
VASP energy   -8.453 eV/atom


# K3Mo2Cl9

A relaxed K3Mo2Cl9 crystal (r²SCAN, the Materials Project database).

Unit cell a=7.084 b=7.084 c=17.147 alpha=90.00 beta=90.00 gamma=120.00
Atoms (fractional coordinates):
K: 0.000 0.000 0.250
K: 0.000 0.000 0.750
K: 0.333 0.667 0.063
K: 0.333 0.667 0.437
K: 0.667 0.333 0.563
K: 0.667 0.333 0.937
Mo: 0.333 0.667 0.670
Mo: 0.333 0.667 0.830
Mo: 0.667 0.333 0.170
Mo: 0.667 0.333 0.330
Cl: 0.001 0.455 0.250
Cl: 0.128 0.348 0.591
Cl: 0.128 0.348 0.909
Cl: 0.220 0.872 0.591
Cl: 0.220 0.872 0.909
Cl: 0.348 0.220 0.091
Cl: 0.348 0.220 0.409
Cl: 0.454 0.999 0.250
Cl: 0.455 0.454 0.750
Cl: 0.545 0.546 0.250
Cl: 0.546 0.001 0.750
Cl: 0.652 0.780 0.591
Cl: 0.652 0.780 0.909
Cl: 0.780 0.128 0.091
Cl: 0.780 0.128 0.409
Cl: 0.872 0.652 0.091
Cl: 0.872 0.652 0.409
Cl: 0.999 0.545 0.750

## Properties
Formation energy from the elements   -153.3 kJ per mole of atoms
V   745.3 Å³/cell
VASP energy   -10.558 eV/atom


# Ho4CdRh

A relaxed Ho4CdRh crystal (r²SCAN, the Materials Project database).

Unit cell a=9.524 b=9.524 c=9.524 alpha=60.00 beta=60.00 gamma=60.00
Atoms (fractional coordinates):
Ho: 0.187 0.187 0.813
Ho: 0.187 0.813 0.187
Ho: 0.187 0.813 0.813
Ho: 0.401 0.401 0.401
Ho: 0.401 0.401 0.798
Ho: 0.401 0.798 0.401
Ho: 0.561 0.561 0.939
Ho: 0.561 0.939 0.561
Ho: 0.561 0.939 0.939
Ho: 0.798 0.401 0.401
Ho: 0.813 0.187 0.187
Ho: 0.813 0.187 0.813
Ho: 0.813 0.813 0.187
Ho: 0.939 0.561 0.561
Ho: 0.939 0.561 0.939
Ho: 0.939 0.939 0.561
Cd: 0.169 0.169 0.169
Cd: 0.169 0.169 0.492
Cd: 0.169 0.492 0.169
Cd: 0.492 0.169 0.169
Rh: 0.177 0.608 0.608
Rh: 0.608 0.177 0.608
Rh: 0.608 0.608 0.177
Rh: 0.608 0.608 0.608

## Properties
Formation energy from the elements   -52.7 kJ per mole of atoms
V   610.9 Å³/cell
VASP energy   -29.841 eV/atom


- What is the formula in the second record?
  K3Mo2Cl9